No. 1
## La2CdPd2 (PBE)

Data for La2CdPd2 after structural relaxation.

```
La2CdPd2
1.0
7.935 0.000 0.000
0.000 7.935 0.000
0.000 0.000 3.980
La Cd Pd
4 2 4
Direct
0.679 0.179 0.500
0.321 0.821 0.500
0.179 0.321 0.500
0.821 0.679 0.500
0.000 0.000 0.000
0.500 0.500 0.000
0.126 0.626 0.000
0.874 0.374 0.000
0.626 0.874 0.000
0.374 0.126 0.000
```


No. 2
## Na6Ti4Nb4Si9S3O48 (PBE)

Data for Na6Ti4Nb4Si9S3O48 after structural relaxation.

```
Na6Ti4Nb4Si9S3O48
1.0
-6.452 16.150 3.534
-5.289 -6.225 -3.465
-5.675 -6.816 20.867
Na Ti Nb Si S O
18 12 12 27 9 144
Direct
0.000 0.638 0.247
0.500 0.627 0.248
0.000 0.373 0.748
0.501 0.365 0.748
0.335 0.968 0.587
0.833 0.701 0.082
0.998 0.005 0.502
0.504 0.000 0.505
0.003 0.010 0.001
0.498 0.992 0.998
0.329 0.337 0.829
0.829 0.337 0.830
0.330 0.322 0.332
0.826 0.320 0.332
0.170 0.673 0.164
0.665 0.659 0.168
0.166 0.672 0.669
0.667 0.666 0.668
0.508 0.015 0.652
0.006 0.982 0.147
0.335 0.318 0.691
0.830 0.347 0.684
0.331 0.314 0.184
0.828 0.348 0.187
0.664 0.674 0.020
0.167 0.655 0.524
0.177 0.681 0.316
0.668 0.682 0.308
0.169 0.654 0.808
0.670 0.674 0.813
0.002 0.001 0.355
0.504 0.010 0.356
0.002 0.996 0.856
0.500 0.988 0.851
0.007 0.000 0.642
0.506 0.013 0.141
0.332 0.345 0.984
0.832 0.342 0.973
0.333 0.324 0.475
0.832 0.319 0.485
0.168 0.652 0.025
0.668 0.684 0.526
0.150 0.003 0.251
0.648 0.008 0.249
0.854 0.715 0.249
0.499 0.293 0.250
0.148 0.287 0.749
0.650 0.295 0.751
0.999 0.704 0.750
0.501 0.708 0.746
0.354 0.991 0.749
0.477 0.330 0.585
0.979 0.338 0.588
0.193 0.045 0.583
0.685 0.050 0.589
0.833 0.622 0.582
0.480 0.621 0.087
0.977 0.615 0.085
0.333 0.044 0.082
0.187 0.323 0.089
0.691 0.341 0.081
0.311 0.668 0.915
0.807 0.673 0.917
0.025 0.382 0.914
0.665 0.951 0.916
0.310 0.947 0.420
0.809 0.954 0.415
0.167 0.385 0.417
0.525 0.667 0.414
0.354 0.712 0.250
0.001 0.288 0.249
0.855 0.997 0.750
0.334 0.619 0.584
0.834 0.049 0.084
0.523 0.380 0.917
0.169 0.954 0.916
0.669 0.385 0.416
0.023 0.665 0.416
0.098 0.026 0.307
0.598 0.031 0.306
0.409 0.795 0.304
0.921 0.809 0.305
0.485 0.165 0.307
0.988 0.181 0.303
0.096 0.164 0.807
0.599 0.168 0.808
0.485 0.798 0.806
0.985 0.804 0.807
0.420 0.036 0.806
0.910 0.025 0.804
0.399 0.968 0.689
0.894 0.970 0.697
0.079 0.197 0.693
0.583 0.206 0.694
0.011 0.833 0.694
0.517 0.840 0.692
0.392 0.818 0.197
0.901 0.832 0.190
0.014 0.207 0.197
0.511 0.189 0.194
0.082 0.962 0.194
0.581 0.965 0.193
0.434 0.364 0.644
0.934 0.366 0.645
0.254 0.138 0.640
0.752 0.143 0.643
0.319 0.514 0.636
0.818 0.502 0.640
0.434 0.502 0.145
0.933 0.502 0.145
0.318 0.133 0.140
0.821 0.129 0.137
0.252 0.361 0.143
0.752 0.370 0.140
0.232 0.299 0.028
0.736 0.303 0.025
0.417 0.530 0.028
0.912 0.526 0.029
0.349 0.168 0.024
0.846 0.151 0.030
0.235 0.168 0.525
0.733 0.164 0.528
0.344 0.539 0.529
0.849 0.530 0.523
0.414 0.304 0.528
0.918 0.304 0.527
0.265 0.693 0.974
0.763 0.694 0.977
0.085 0.475 0.973
0.576 0.464 0.970
0.154 0.851 0.970
0.652 0.828 0.974
0.263 0.831 0.477
0.766 0.836 0.474
0.151 0.476 0.474
0.654 0.456 0.470
0.076 0.692 0.469
0.585 0.696 0.472
0.063 0.643 0.361
0.567 0.636 0.355
0.250 0.861 0.360
0.748 0.857 0.358
0.177 0.505 0.359
0.680 0.484 0.362
0.066 0.498 0.855
0.561 0.482 0.862
0.179 0.876 0.863
0.678 0.853 0.859
0.248 0.638 0.859
0.747 0.640 0.859
0.014 0.825 0.411
0.514 0.840 0.407
0.407 0.972 0.409
0.907 0.977 0.406
0.081 0.190 0.408
0.589 0.203 0.411
0.013 0.186 0.908
0.514 0.205 0.913
0.089 0.975 0.912
0.581 0.977 0.911
0.407 0.841 0.910
0.906 0.840 0.909
0.481 0.151 0.589
0.987 0.162 0.591
0.096 0.025 0.589
0.589 0.025 0.590
0.409 0.797 0.587
0.918 0.814 0.591
0.486 0.810 0.092
0.982 0.807 0.091
0.417 0.021 0.091
0.911 0.024 0.090
0.089 0.157 0.094
0.596 0.166 0.088
0.349 0.172 0.744
0.848 0.156 0.746
0.242 0.309 0.741
0.743 0.307 0.744
0.416 0.515 0.742
0.915 0.510 0.745
0.347 0.539 0.247
0.851 0.525 0.243
0.415 0.320 0.245
0.922 0.308 0.246
0.243 0.175 0.244
0.745 0.175 0.241
0.321 0.492 0.922
0.819 0.500 0.922
0.434 0.361 0.922
0.928 0.356 0.926
0.246 0.133 0.922
0.753 0.140 0.924
0.320 0.141 0.421
0.821 0.151 0.421
0.253 0.366 0.423
0.746 0.359 0.421
0.428 0.500 0.425
0.935 0.511 0.420
0.179 0.499 0.079
0.684 0.516 0.076
0.074 0.646 0.076
0.575 0.641 0.075
0.246 0.855 0.075
0.755 0.869 0.079
0.184 0.854 0.575
0.680 0.861 0.579
0.254 0.641 0.578
0.746 0.637 0.574
0.074 0.508 0.574
0.574 0.501 0.574
0.150 0.817 0.259
0.652 0.828 0.255
0.266 0.693 0.257
0.758 0.687 0.258
0.078 0.467 0.256
0.585 0.483 0.257
0.151 0.474 0.755
0.653 0.481 0.759
0.086 0.688 0.757
0.585 0.683 0.758
0.258 0.827 0.759
0.768 0.840 0.756
```

Calculated values
- Magnetization: 0.0 μB per formula unit


No. 3
## Rb3LaN6 (PBE)

Data for Rb3LaN6 after structural relaxation.

```
Rb3LaN6
1.0
5.738 -6.056 0.000
5.738 6.056 0.000
-0.654 0.000 8.317
Rb La N
6 2 12
Direct
0.900 0.600 0.250
0.250 0.900 0.600
0.600 0.250 0.900
0.750 0.100 0.400
0.400 0.750 0.100
0.100 0.400 0.750
0.500 0.500 0.500
0.000 0.000 0.000
0.276 0.065 0.941
0.941 0.276 0.065
0.065 0.941 0.276
0.441 0.565 0.776
0.776 0.441 0.565
0.565 0.776 0.441
0.724 0.935 0.059
0.059 0.724 0.935
0.935 0.059 0.724
0.559 0.435 0.224
0.224 0.559 0.435
0.435 0.224 0.559
```

Calculated values
- Magnetization: 12.0 μB per formula unit


no.,calculated total energy (eV/atom),calculated volume (Å³ per cell)
1,-5.003,251
2,-7.564,3093
3,-4.300,578